Record 1
Sc2InC: relaxed, r2SCAN.

POSCAR file:
```
Sc2InC
1.0
-2.943 -1.534 0.458
2.260 0.059 2.472
-6.024 13.104 5.193
Sc In C
4 2 2
direct
0.667 0.333 0.580
0.667 0.333 0.920
0.333 0.667 0.420
0.333 0.667 0.080
0.333 0.667 0.750
0.667 0.333 0.250
0.000 0.000 0.000
0.000 0.000 0.500
```

The calculation puts the total energy at -14.4965 eV per atom. As for the space group: P6_3/mmc (194). The calculation puts the total magnetic moment at 0.00 μB/cell.

=====

Record 2
Ga3Sb7S8Cl14: relaxed, r2SCAN.

POSCAR file:
```
Ga3Sb7S8Cl14
1.0
12.129 0.000 0.000
0.000 8.923 -0.005
0.000 0.932 17.292
Cl S Sb Ga
28 16 14 6
direct
0.685 0.443 0.553
0.073 0.546 0.048
0.468 0.692 0.453
0.513 0.863 0.823
0.071 0.677 0.849
0.816 0.289 0.035
0.803 0.718 0.027
0.303 0.282 0.973
0.084 0.939 0.997
0.013 0.137 0.177
0.789 0.849 0.738
0.225 0.937 0.500
0.629 0.523 0.754
0.043 0.186 0.377
0.460 0.244 0.474
0.571 0.323 0.151
0.185 0.557 0.447
0.193 0.652 0.646
0.573 0.454 0.952
0.968 0.308 0.547
0.725 0.063 0.500
0.289 0.151 0.262
0.693 0.348 0.354
0.543 0.814 0.623
0.129 0.477 0.246
0.584 0.061 0.003
0.316 0.711 0.965
0.960 0.756 0.526
0.922 0.476 0.713
0.010 0.087 0.716
0.244 0.265 0.620
0.753 0.912 0.190
0.504 0.190 0.695
0.521 0.724 0.108
0.258 0.798 0.176
0.021 0.276 0.892
0.758 0.202 0.824
0.422 0.524 0.287
0.341 0.471 0.791
0.004 0.810 0.305
0.253 0.088 0.810
0.744 0.735 0.380
0.841 0.529 0.209
0.510 0.913 0.284
0.906 0.573 0.343
0.415 0.245 0.862
0.839 0.963 0.322
0.856 0.437 0.849
0.339 0.037 0.678
0.350 0.750 0.347
0.915 0.755 0.138
0.356 0.563 0.151
0.850 0.250 0.653
0.423 0.953 0.149
0.406 0.427 0.657
0.631 0.688 0.245
0.923 0.047 0.851
0.131 0.312 0.755
0.137 0.728 0.529
0.117 0.230 0.265
0.637 0.272 0.471
0.138 0.717 0.965
0.638 0.283 0.035
0.617 0.770 0.735
```

The calculation puts the total energy at -12.2073 eV per atom. As for the space group: P2_1 (4). The calculation puts the total magnetic moment at 0.00 μB/cell.

=====

Record 3
Sr2Fe2O5: relaxed, r2SCAN.

POSCAR file:
```
Sr2Fe2O5
1.0
-2.721 2.801 7.994
2.721 -2.801 7.994
2.718 2.798 -7.994
Sr Fe O
4 4 10
direct
0.405 0.892 0.517
0.124 0.612 0.517
0.876 0.393 0.488
0.596 0.112 0.488
0.183 0.291 0.974
0.000 0.999 0.999
0.817 0.790 0.107
0.500 0.499 0.999
0.246 0.744 0.002
0.758 0.256 0.002
0.754 0.756 0.498
0.874 0.141 0.514
0.816 0.844 0.943
0.599 0.627 0.943
0.184 0.128 0.029
0.126 0.641 0.268
0.401 0.346 0.029
0.242 0.244 0.498
```

The calculation puts the total energy at -12.2131 eV per atom. As for the space group: Cm (8). The calculation puts the total magnetic moment at 19.01 μB/cell.

=====

Record 4
PrGe2Pt2: relaxed, r2SCAN.

POSCAR file:
```
PrGe2Pt2
1.0
-1.391 4.145 0.308
-3.348 -0.924 -2.675
-5.604 -2.465 7.866
Pr Ge Pt
2 4 4
direct
0.754 0.500 0.254
0.254 0.000 0.746
0.754 0.500 0.871
0.755 0.000 0.500
0.255 0.500 0.500
0.254 0.000 0.129
0.254 0.500 0.000
0.754 0.000 0.000
0.755 0.500 0.623
0.255 0.000 0.377
```

The calculation puts the total energy at -33.0371 eV per atom. As for the space group: P4/nmm (129). The calculation puts the total magnetic moment at 0.00 μB/cell.

=====

Record 5
La3Yb: relaxed, r2SCAN.

POSCAR file:
```
La3Yb
1.0
-2.596 2.596 5.228
2.596 -2.596 5.228
2.596 2.596 -5.228
La Yb
3 1
direct
0.750 0.250 0.500
0.500 0.500 0.000
0.250 0.750 0.500
0.000 0.000 0.000
```

The calculation puts the total energy at -31.4152 eV per atom. As for the space group: I4/mmm (139). The calculation puts the total magnetic moment at 0.00 μB/cell.

=====

Record 6
FeAsSe: relaxed, r2SCAN.

POSCAR file:
```
FeAsSe
1.0
1.587 1.536 -5.402
5.448 1.154 1.929
-0.670 -5.617 -1.795
Fe As Se
4 4 4
direct
0.000 0.724 0.709
0.000 0.276 0.291
0.500 0.724 0.209
0.500 0.276 0.791
0.137 0.857 0.122
0.363 0.857 0.622
0.637 0.143 0.378
0.863 0.143 0.878
0.869 0.656 0.321
0.631 0.656 0.821
0.369 0.344 0.179
0.131 0.344 0.679
```

The calculation puts the total energy at -14.6826 eV per atom. As for the space group: P2_1/c (14). The calculation puts the total magnetic moment at 0.00 μB/cell.

=====

The evaluated E_form for the records listed, in turn: -666; -811; -2326; -1012; 26; -205 meV/atom.